Material: K2GdCuCl6
Method: DFT, PBE
State: optimized geometry Values from VASP.

Calculated values
Its symmetry is Fm-3m (225). The crystal system is cubic. Its energy of formation from the pure elements is -2105 meV/atom. As for the energy: -48.9 eV per cell. The calculation puts the calculated volume at 280.81 Å³ per cell. The density is 3.0 g/cm³. The calculation puts the total moment at 7.00 Bohr magnetons per cell.

Cell and atoms, written as Quantum ESPRESSO input:
```
&SYSTEM
  ibrav = 0, nat = 10, ntyp = 4
/
ATOMIC_SPECIES
Cl 35.45 Cl.upf
K 39.10 K.upf
Gd 157.25 Gd.upf
Cu 63.55 Cu.upf
ATOMIC_POSITIONS crystal
Cl 0.2562 0.7438 0.7438
Cl 0.7438 0.2562 0.7438
Cl 0.2562 0.7438 0.2562
Cl 0.7438 0.2562 0.2562
Cl 0.2562 0.2562 0.7438
Cl 0.7438 0.7438 0.2562
K 0.7500 0.7500 0.7500
K 0.2500 0.2500 0.2500
Gd 0.0000 0.0000 0.0000
Cu 0.5000 0.5000 0.5000
CELL_PARAMETERS angstrom
0.0000 5.1975 5.1975
5.1975 0.0000 5.1975
5.1975 5.1975 0.0000
```



Material: GdCuSe2ClO6
Method: DFT, PBE
State: optimized geometry Values from VASP.

Calculated values
Its symmetry is P-1 (2). The crystal system is triclinic. Its energy of formation from the pure elements is -1783 meV/atom. As for the energy: -288.8 eV per cell. The calculation puts the calculated volume at 705.89 Å³ per cell. The density is 4.8 g/cm³. The calculation puts the total moment at 0.00 Bohr magnetons per cell.

Cell and atoms, written as Quantum ESPRESSO input:
```
&SYSTEM
  ibrav = 0, nat = 44, ntyp = 5
/
ATOMIC_SPECIES
O 16.00 O.upf
Gd 157.25 Gd.upf
Cl 35.45 Cl.upf
Se 78.96 Se.upf
Cu 63.55 Cu.upf
ATOMIC_POSITIONS crystal
O 0.0199 0.3580 0.4784
O 0.6531 0.7200 0.7645
O 0.3887 0.4977 0.3983
O 0.2637 0.8854 0.1952
O 0.1832 0.7068 0.3806
O 0.7003 0.4646 0.8300
O 0.3161 0.0793 0.6878
O 0.2997 0.5354 0.1700
O 0.9846 0.8555 0.9986
O 0.8168 0.2932 0.6194
O 0.7414 0.5711 0.3043
O 0.3469 0.2800 0.2355
O 0.6408 0.1847 0.2756
O 0.3592 0.8153 0.7244
O 0.1416 0.2262 0.8256
O 0.6113 0.5023 0.6017
O 0.6839 0.9207 0.3122
O 0.0154 0.1445 0.0014
O 0.8584 0.7738 0.1744
O 0.9801 0.6420 0.5216
O 0.2586 0.4289 0.6957
O 0.3599 0.9916 0.9011
O 0.6401 0.0084 0.0989
O 0.7363 0.1146 0.8048
Gd 0.3369 0.6114 0.5702
Gd 0.6643 0.9133 0.9145
Gd 0.6631 0.3886 0.4298
Gd 0.3357 0.0867 0.0855
Cl 0.5923 0.3526 0.0295
Cl 0.3600 0.1262 0.4624
Cl 0.6400 0.8738 0.5376
Cl 0.4077 0.6474 0.9705
Se 0.9650 0.7332 0.4054
Se 0.7832 0.0722 0.2528
Se 0.2168 0.9278 0.7472
Se 0.0350 0.2668 0.5946
Se 0.7806 0.5939 0.7492
Se 0.9839 0.2591 0.9016
Se 0.2194 0.4061 0.2508
Se 0.0161 0.7409 0.0984
Cu 0.5802 0.6214 0.1584
Cu 0.4247 0.8552 0.3484
Cu 0.5753 0.1448 0.6516
Cu 0.4198 0.3786 0.8416
CELL_PARAMETERS angstrom
7.1261 0.0000 0.0000
-3.1559 8.8589 0.0000
-3.5327 -3.0263 11.1817
```



Material: CuH2Cl2
Method: DFT, PBE
State: optimized geometry Values from VASP.

Calculated values
Its symmetry is Pmna (53). The crystal system is orthorhombic. Its energy of formation from the pure elements is -4 meV/atom. As for the energy: -26.8 eV per cell. The calculation puts the calculated volume at 176.76 Å³ per cell. The density is 2.6 g/cm³. The calculation puts the total moment at 0.28 Bohr magnetons per cell.

Cell and atoms, written as Quantum ESPRESSO input:
```
&SYSTEM
  ibrav = 0, nat = 10, ntyp = 3
/
ATOMIC_SPECIES
Cl 35.45 Cl.upf
Cu 63.55 Cu.upf
H 1.01 H.upf
ATOMIC_POSITIONS crystal
Cl 0.1905 0.2928 0.0000
Cl 0.1905 0.2072 0.5000
Cl 0.8095 0.7928 0.5000
Cl 0.8095 0.7072 0.0000
Cu 0.0000 0.0000 0.0000
Cu 0.0000 0.5000 0.5000
H 0.0000 0.0000 0.2375
H 0.0000 0.5000 0.7375
H 0.0000 0.0000 0.7625
H 0.0000 0.5000 0.2625
CELL_PARAMETERS angstrom
3.9775 0.0000 0.0000
0.0000 6.6197 0.0000
0.0000 0.0000 6.7131
```



Material: K2CuH2Cl4
Method: DFT, PBE
State: optimized geometry Values from VASP.

Calculated values
Its symmetry is P4_2/mnm (136). The crystal system is tetragonal. Its energy of formation from the pure elements is -981 meV/atom. As for the energy: -53.7 eV per cell. The calculation puts the calculated volume at 409.20 Å³ per cell. The density is 2.3 g/cm³. The calculation puts the total moment at 2.00 Bohr magnetons per cell.

Cell and atoms, written as Quantum ESPRESSO input:
```
&SYSTEM
  ibrav = 0, nat = 18, ntyp = 4
/
ATOMIC_SPECIES
H 1.01 H.upf
K 39.10 K.upf
Cu 63.55 Cu.upf
Cl 35.45 Cl.upf
ATOMIC_POSITIONS crystal
H 0.0000 0.0000 0.8136
H 0.5000 0.5000 0.6864
H 0.5000 0.5000 0.3136
H 0.0000 0.0000 0.1864
K 0.0000 0.5000 0.2500
K 0.5000 0.0000 0.2500
K 0.0000 0.5000 0.7500
K 0.5000 0.0000 0.7500
Cu 0.5000 0.5000 0.5000
Cu 0.0000 0.0000 0.0000
Cl 0.7270 0.2730 0.5000
Cl 0.2270 0.2270 0.0000
Cl 0.2730 0.7270 0.5000
Cl 0.7524 0.2476 0.0000
Cl 0.2524 0.2524 0.5000
Cl 0.7476 0.7476 0.5000
Cl 0.2476 0.7524 0.0000
Cl 0.7730 0.7730 0.0000
CELL_PARAMETERS angstrom
7.0474 0.0000 0.0000
0.0000 7.0474 0.0000
0.0000 0.0000 8.2389
```



- Which of these has the highest total moment?
  K2GdCuCl6